Entry 1:
# MgCr2O4, relaxed, DFT PBE with a Hubbard U
data_MgCr2O4
_symmetry_space_group_name_H-M 'P 1'
_symmetry_Int_Tables_number 1
_cell_length_a 2.937
_cell_length_b 8.943
_cell_length_c 10.521
_cell_angle_alpha 90.00
_cell_angle_beta 90.00
_cell_angle_gamma 90.00
loop_
_symmetry_equiv_pos_as_xyz
'x,y,z'
loop_
_atom_site_label
_atom_site_fract_x
_atom_site_fract_y
_atom_site_fract_z
Mg1 0.250 0.738 0.844
Mg2 0.750 0.262 0.156
Mg3 0.250 0.238 0.656
Mg4 0.750 0.762 0.344
Cr1 0.750 0.913 0.601
Cr2 0.250 0.587 0.101
Cr3 0.750 0.413 0.899
Cr4 0.250 0.087 0.399
Cr5 0.250 0.059 0.883
Cr6 0.750 0.941 0.117
Cr7 0.250 0.559 0.617
Cr8 0.750 0.441 0.383
O1 0.750 0.409 0.575
O2 0.250 0.591 0.425
O3 0.750 0.909 0.925
O4 0.250 0.091 0.075
O5 0.750 0.529 0.213
O6 0.250 0.471 0.787
O7 0.750 0.029 0.287
O8 0.250 0.971 0.713
O9 0.750 0.125 0.533
O10 0.250 0.875 0.467
O11 0.750 0.625 0.967
O12 0.250 0.375 0.033
O13 0.250 0.296 0.321
O14 0.750 0.704 0.679
O15 0.750 0.204 0.821
O16 0.250 0.796 0.179
# ΔH_f (0 K)   -241.9 kJ/mol of atoms
# Offset from the most stable computed form   0.1261 eV per atom
# Size of the total moment   24.0 μB/cell
# Final energy   -7.36 eV per atom


Entry 2:
# Li9Mn2Co5O16, relaxed, DFT PBE with a Hubbard U
data_Li9Mn2Co5O16
_symmetry_space_group_name_H-M 'P 1'
_symmetry_Int_Tables_number 1
_cell_length_a 2.968
_cell_length_b 2.968
_cell_length_c 38.691
_cell_angle_alpha 88.30
_cell_angle_beta 88.30
_cell_angle_gamma 58.73
loop_
_symmetry_equiv_pos_as_xyz
'x,y,z'
loop_
_atom_site_label
_atom_site_fract_x
_atom_site_fract_y
_atom_site_fract_z
Li1 0.692 0.692 0.933
Li2 0.059 0.059 0.815
Li3 0.436 0.436 0.689
Li4 0.813 0.813 0.561
Li5 0.188 0.188 0.437
Li6 0.563 0.563 0.312
Li7 0.937 0.937 0.188
Li8 0.312 0.312 0.064
Li9 0.374 0.374 0.875
Mn1 0.002 0.002 0.000
Mn2 0.125 0.125 0.625
Co1 0.747 0.747 0.750
Co2 0.500 0.500 0.500
Co3 0.875 0.875 0.375
Co4 0.250 0.250 0.250
Co5 0.625 0.625 0.125
O1 0.364 0.364 0.973
O2 0.719 0.719 0.844
O3 0.094 0.094 0.720
O4 0.493 0.493 0.596
O5 0.847 0.847 0.471
O6 0.223 0.223 0.346
O7 0.597 0.597 0.220
O8 0.948 0.948 0.097
O9 0.031 0.031 0.906
O10 0.408 0.408 0.778
O11 0.757 0.757 0.654
O12 0.153 0.153 0.529
O13 0.527 0.527 0.404
O14 0.906 0.906 0.279
O15 0.303 0.303 0.153
O16 0.636 0.636 0.030
# ΔH_f (0 K)   -164.8 kJ/mol of atoms
# Offset from the most stable computed form   0.1559 eV per atom
# Size of the total moment   27.3 μB/cell
# Final energy   -5.70 eV per atom


Entry 3:
# Ba2SrMnO6, relaxed, DFT PBE with a Hubbard U
data_Ba2SrMnO6
_symmetry_space_group_name_H-M 'P 1'
_symmetry_Int_Tables_number 1
_cell_length_a 8.599
_cell_length_b 8.599
_cell_length_c 8.599
_cell_angle_alpha 90.00
_cell_angle_beta 90.00
_cell_angle_gamma 90.00
loop_
_symmetry_equiv_pos_as_xyz
'x,y,z'
loop_
_atom_site_label
_atom_site_fract_x
_atom_site_fract_y
_atom_site_fract_z
Ba1 0.500 0.500 0.500
Ba2 0.000 0.000 0.000
Ba3 0.000 0.000 0.500
Ba4 0.000 0.500 0.000
Ba5 0.500 0.000 0.000
Ba6 0.500 0.500 0.000
Ba7 0.500 0.000 0.500
Ba8 0.000 0.500 0.500
Sr1 0.250 0.250 0.250
Sr2 0.250 0.750 0.750
Sr3 0.750 0.250 0.750
Sr4 0.750 0.750 0.250
Mn1 0.750 0.750 0.750
Mn2 0.750 0.250 0.250
Mn3 0.250 0.750 0.250
Mn4 0.250 0.250 0.750
O1 0.232 0.270 0.529
O2 0.232 0.730 0.471
O3 0.768 0.270 0.471
O4 0.768 0.730 0.529
O5 0.270 0.529 0.232
O6 0.730 0.471 0.232
O7 0.270 0.471 0.768
O8 0.730 0.529 0.768
O9 0.529 0.232 0.270
O10 0.471 0.232 0.730
O11 0.471 0.768 0.270
O12 0.529 0.768 0.730
O13 0.268 0.230 0.971
O14 0.268 0.770 0.029
O15 0.732 0.230 0.029
O16 0.732 0.770 0.971
O17 0.230 0.971 0.268
O18 0.770 0.029 0.268
O19 0.230 0.029 0.732
O20 0.770 0.971 0.732
O21 0.971 0.268 0.230
O22 0.029 0.268 0.770
O23 0.029 0.732 0.230
O24 0.971 0.732 0.770
# ΔH_f (0 K)   -231.7 kJ/mol of atoms
# Size of the total moment   4.0 μB/cell
# Final energy   -6.26 eV per atom